(1)
Ca3N2 | PBE | optimized geometry

a b c (Å): 3.8977 3.8977 13.2449
angles (deg): 90.00 90.00 120.00
Atoms (fractional coordinates):
Ca  0.0000  0.0000  0.2500
Ca  0.0000  0.0000  0.7500
Ca  0.3333  0.6667  0.0861
Ca  0.3333  0.6667  0.4139
Ca  0.6667  0.3333  0.5861
Ca  0.6667  0.3333  0.9139
N  0.0000  0.0000  0.0000
N  0.0000  0.0000  0.5000
N  0.3333  0.6667  0.7500
N  0.6667  0.3333  0.2500

Computed properties:
- Energy above the most stable polymorph in this dataset: 94 kJ/mol of formula units
- Space-group type: P6_3/mmc (194)
- Spin magnetization: 0.001 μB per formula unit
- Formation energy from the elements: -0.74 eV per atom



(2)
Ca3N2 | PBE | optimized geometry

a b c (Å): 6.6044 6.6044 6.6044
angles (deg): 55.96 55.96 55.96
Atoms (fractional coordinates):
Ca  0.0501  0.7500  0.4499
Ca  0.2500  0.5501  0.9499
Ca  0.4499  0.0501  0.7500
Ca  0.5501  0.9499  0.2500
Ca  0.7500  0.4499  0.0501
Ca  0.9499  0.2500  0.5501
N  0.1465  0.1465  0.1465
N  0.3535  0.3535  0.3535
N  0.6465  0.6465  0.6465
N  0.8535  0.8535  0.8535

Computed properties:
- Energy above the most stable polymorph in this dataset: 7 kJ/mol of formula units
- Space-group type: R-3c (167)
- Formation energy from the elements: -0.92 eV per atom



(3)
Ca3N2 | PBE | optimized geometry

a b c (Å): 8.9738 6.2136 6.3620
angles (deg): 90.00 90.00 90.00
Atoms (fractional coordinates):
Ca  0.0000  0.0450  0.2500
Ca  0.0000  0.9550  0.7500
Ca  0.1529  0.3937  0.6051
Ca  0.1529  0.6063  0.1051
Ca  0.3471  0.1063  0.1051
Ca  0.3471  0.8937  0.6051
Ca  0.5000  0.4550  0.7500
Ca  0.5000  0.5450  0.2500
Ca  0.6529  0.1063  0.3949
Ca  0.6529  0.8937  0.8949
Ca  0.8471  0.3937  0.8949
Ca  0.8471  0.6063  0.3949
N  0.1121  0.2472  0.9686
N  0.1121  0.7528  0.4686
N  0.3879  0.2528  0.4686
N  0.3879  0.7472  0.9686
N  0.6121  0.2528  0.0314
N  0.6121  0.7472  0.5314
N  0.8879  0.2472  0.5314
N  0.8879  0.7528  0.0314

Computed properties:
- Energy above the most stable polymorph in this dataset: 16 kJ/mol of formula units
- Space-group type: Pbcn (60)
- Formation energy from the elements: -0.90 eV per atom



(4)
Ca3N2 | PBE | optimized geometry

a b c (Å): 9.9381 9.9381 9.9381
angles (deg): 109.47 109.47 109.47
Atoms (fractional coordinates):
Ca  0.0067  0.0439  0.2715
Ca  0.0371  0.4933  0.7648
Ca  0.0439  0.2715  0.0067
Ca  0.2276  0.4561  0.4629
Ca  0.2285  0.2724  0.7352
Ca  0.2352  0.9629  0.5067
Ca  0.2648  0.7715  0.7276
Ca  0.2715  0.0067  0.0439
Ca  0.2724  0.7352  0.2285
Ca  0.4561  0.4629  0.2276
Ca  0.4629  0.2276  0.4561
Ca  0.4933  0.7648  0.0371
Ca  0.5067  0.2352  0.9629
Ca  0.5371  0.7724  0.5439
Ca  0.5439  0.5371  0.7724
Ca  0.7276  0.2648  0.7715
Ca  0.7285  0.9933  0.9561
Ca  0.7352  0.2285  0.2724
Ca  0.7648  0.0371  0.4933
Ca  0.7715  0.7276  0.2648
Ca  0.7724  0.5439  0.5371
Ca  0.9561  0.7285  0.9933
Ca  0.9629  0.5067  0.2352
Ca  0.9933  0.9561  0.7285
N  0.0000  0.0000  0.5000
N  0.0000  0.5000  0.0000
N  0.0396  0.7500  0.7896
N  0.2104  0.9604  0.2500
N  0.2500  0.2104  0.9604
N  0.2500  0.7104  0.4604
N  0.2896  0.5396  0.7500
N  0.4604  0.2500  0.7104
N  0.5000  0.0000  0.0000
N  0.5000  0.5000  0.5000
N  0.5396  0.7500  0.2896
N  0.7104  0.4604  0.2500
N  0.7500  0.2896  0.5396
N  0.7500  0.7896  0.0396
N  0.7896  0.0396  0.7500
N  0.9604  0.2500  0.2104

Computed properties:
- Energy above the most stable polymorph in this dataset: 0 kJ/mol of formula units
- Space-group type: Ia-3 (206)
- Formation energy from the elements: -0.93 eV per atom